1 | A plane-wave DFT calculation with PBE+U was carried out for a relaxed Fe10O11F9 crystal.

Cell lengths 4.7081, 4.7111, 15.4385 Å; angles 90.36, 90.02, 90.43 degrees
Fractional positions:
Fe1 0.0000 0.0000 0.0000
Fe2 0.0002 0.0475 0.5964
Fe3 0.0146 0.0130 0.2050
Fe4 0.0269 0.0174 0.7972
Fe5 0.4632 0.5196 0.6932
Fe6 0.4883 0.5421 0.2951
Fe7 0.5046 0.5845 0.0974
Fe8 0.5090 0.5867 0.8953
Fe9 0.5335 0.5736 0.5095
Fe10 0.9932 0.0373 0.3928
O1 0.1805 0.2174 0.6959
O2 0.2000 0.2353 0.3016
O3 0.2976 0.7419 0.5974
O4 0.3114 0.7221 0.7944
O5 0.3146 0.7288 0.1999
O6 0.3237 0.7439 0.9971
O7 0.6970 0.3440 0.5993
O8 0.8013 0.8358 0.3017
O9 0.8221 0.8477 0.1016
O10 0.8224 0.8687 0.4969
O11 0.8253 0.8497 0.8955
F1 0.2089 0.2543 0.4927
F2 0.2124 0.2408 0.1001
F3 0.2160 0.2406 0.8984
F4 0.3174 0.7402 0.4024
F5 0.6970 0.3598 0.4007
F6 0.7020 0.3351 0.7979
F7 0.7039 0.3397 0.1977
F8 0.7142 0.3472 0.9985
F9 0.7958 0.8336 0.6984

---

2 | A plane-wave DFT calculation with PBE+U was carried out for a relaxed Fe10O11F9 crystal.

Cell lengths 15.2568, 4.7808, 4.7808 Å; angles 83.88, 90.00, 90.00 degrees
Fractional positions:
Fe1 0.0000 0.0000 0.0000
Fe2 0.0945 0.4572 0.4572
Fe3 0.1986 0.9640 0.9640
Fe4 0.2971 0.4677 0.4677
Fe5 0.3994 0.9674 0.9674
Fe6 0.5000 0.4673 0.4673
Fe7 0.6006 0.9674 0.9674
Fe8 0.7029 0.4677 0.4677
Fe9 0.8014 0.9640 0.9640
Fe10 0.9055 0.4572 0.4572
O1 0.0000 0.2796 0.2796
O2 0.1015 0.1666 0.7741
O3 0.1015 0.7741 0.1666
O4 0.2992 0.1640 0.7673
O5 0.2992 0.7673 0.1640
O6 0.5000 0.1669 0.7682
O7 0.5000 0.7682 0.1669
O8 0.7008 0.1640 0.7673
O9 0.7008 0.7673 0.1640
O10 0.8985 0.1666 0.7741
O11 0.8985 0.7741 0.1666
F1 0.0000 0.6588 0.6588
F2 0.1982 0.6553 0.6553
F3 0.2003 0.2737 0.2737
F4 0.3993 0.6589 0.6589
F5 0.3996 0.2753 0.2753
F6 0.6004 0.2753 0.2753
F7 0.6007 0.6589 0.6589
F8 0.7997 0.2737 0.2737
F9 0.8018 0.6553 0.6553

---

Here are the energies relative to the best structure, in eV/atom: 1 0.000; 2 0.018.

---

1 | A plane-wave DFT calculation with PBE+U was carried out for a relaxed Fe10O11F9 crystal.

Cell lengths 4.7366, 15.3294, 4.7418 Å; angles 90.00, 92.26, 90.00 degrees
Fractional positions:
Fe1 0.0000 0.0000 0.0000
Fe2 0.0211 0.3983 0.9701
Fe3 0.0211 0.6017 0.9701
Fe4 0.0352 0.1925 0.9789
Fe5 0.0352 0.8075 0.9789
Fe6 0.4504 0.3013 0.4834
Fe7 0.4504 0.6987 0.4834
Fe8 0.5008 0.1041 0.5056
Fe9 0.5008 0.8959 0.5056
Fe10 0.5121 0.5000 0.5449
O1 0.1838 0.2979 0.1676
O2 0.1838 0.7021 0.1676
O3 0.1997 0.0929 0.1928
O4 0.1997 0.9071 0.1928
O5 0.3076 0.1984 0.6756
O6 0.3076 0.8016 0.6756
O7 0.3086 0.3999 0.6866
O8 0.3086 0.6001 0.6866
O9 0.8105 0.0943 0.8030
O10 0.8105 0.9057 0.8030
O11 0.8239 0.5000 0.8159
F1 0.2134 0.5000 0.1997
F2 0.3156 0.0000 0.6921
F3 0.6927 0.0000 0.3116
F4 0.6956 0.2007 0.2898
F5 0.6956 0.7993 0.2898
F6 0.6982 0.3997 0.2980
F7 0.6982 0.6003 0.2980
F8 0.7969 0.2974 0.7781
F9 0.7969 0.7026 0.7781

---

2 | A plane-wave DFT calculation with PBE+U was carried out for a relaxed Fe10O11F9 crystal.

Cell lengths 4.7024, 4.7101, 15.4762 Å; angles 89.88, 89.78, 89.48 degrees
Fractional positions:
Fe1 0.0000 0.0000 0.0000
Fe2 0.0018 0.0599 0.3975
Fe3 0.4918 0.4731 0.2932
Fe4 0.4964 0.4780 0.4964
Fe5 0.5076 0.5054 0.9018
Fe6 0.5242 0.5034 0.6978
Fe7 0.5366 0.5339 0.0896
Fe8 0.9746 0.0388 0.1971
Fe9 0.9809 0.0415 0.7851
Fe10 0.9934 0.0429 0.6002
O1 0.1777 0.2101 0.2940
O2 0.1826 0.2117 0.4984
O3 0.2006 0.2252 0.6963
O4 0.3111 0.7146 0.9940
O5 0.6775 0.3180 0.3951
O6 0.6875 0.3332 0.1926
O7 0.6886 0.3331 0.8004
O8 0.6901 0.3269 0.5965
O9 0.7101 0.3160 0.9935
O10 0.8020 0.8249 0.6945
O11 0.8173 0.8352 0.0976
F1 0.1907 0.2064 0.8950
F2 0.2043 0.2214 0.0958
F3 0.2884 0.7136 0.3958
F4 0.2974 0.7222 0.8004
F5 0.2976 0.7218 0.1960
F6 0.3019 0.7172 0.5945
F7 0.7873 0.8184 0.2971
F8 0.7944 0.8182 0.4953
F9 0.8103 0.8268 0.8931

---

3 | A plane-wave DFT calculation with PBE+U was carried out for a relaxed Fe10O11F9 crystal.

Cell lengths 4.7743, 4.7780, 15.3008 Å; angles 89.91, 89.89, 84.99 degrees
Fractional positions:
Fe1 0.0000 0.0000 0.0000
Fe2 0.9999 0.0151 0.6072
Fe3 0.0332 0.0493 0.8057
Fe4 0.0458 0.0429 0.2138
Fe5 0.4633 0.5358 0.1107
Fe6 0.4933 0.5093 0.7109
Fe7 0.4961 0.5045 0.9015
Fe8 0.4973 0.5037 0.3020
Fe9 0.5043 0.5191 0.5077
Fe10 0.9991 0.0131 0.4077
O1 0.1825 0.8419 0.1059
O2 0.1977 0.8181 0.5099
O3 0.1997 0.8249 0.7013
O4 0.2068 0.8201 0.9049
O5 0.2091 0.8206 0.3118
O6 0.3115 0.3329 0.2055
O7 0.3165 0.3291 0.8043
O8 0.8038 0.2122 0.5097
O9 0.8089 0.2173 0.9071
O10 0.8097 0.2154 0.7013
O11 0.8110 0.2165 0.3096
F1 0.3045 0.3296 0.0082
F2 0.3104 0.3257 0.6054
F3 0.3132 0.3235 0.4095
F4 0.6880 0.7096 0.0087
F5 0.6921 0.7077 0.6070
F6 0.6928 0.7149 0.2048
F7 0.6953 0.7057 0.4082
F8 0.6991 0.7113 0.8046
F9 0.7944 0.2319 0.1045

---

Here are the energies relative to the best structure, in eV/atom: 1 0.000; 2 0.005; 3 0.013.

---

1 | A plane-wave DFT calculation with PBE+U was carried out for a relaxed Fe10O11F9 crystal.

Cell lengths 4.7274, 4.7312, 15.3640 Å; angles 89.70, 89.70, 89.05 degrees
Fractional positions:
Fe1 0.0000 0.0000 0.0000
Fe2 0.0001 0.0167 0.3923
Fe3 0.0041 0.0001 0.7967
Fe4 0.4145 0.4877 0.8975
Fe5 0.4332 0.5154 0.0985
Fe6 0.4373 0.5221 0.4973
Fe7 0.4404 0.5159 0.6970
Fe8 0.4652 0.4862 0.2982
Fe9 0.9359 0.9532 0.2044
Fe10 0.9410 0.9469 0.5954
O1 0.1369 0.8030 0.1015
O2 0.1438 0.8032 0.6959
O3 0.1458 0.8139 0.4945
O4 0.1535 0.8100 0.8982
O5 0.1635 0.7889 0.2984
O6 0.2656 0.3101 0.0006
O7 0.2687 0.3093 0.7948
O8 0.2845 0.3153 0.3963
O9 0.6364 0.6679 0.2002
O10 0.6384 0.6772 0.5969
O11 0.7657 0.1871 0.2984
F1 0.2468 0.2953 0.5966
F2 0.2501 0.2880 0.1969
F3 0.6528 0.7023 0.9972
F4 0.6559 0.7016 0.7982
F5 0.6644 0.7023 0.3995
F6 0.7504 0.1918 0.0975
F7 0.7534 0.1911 0.6969
F8 0.7557 0.1987 0.4982
F9 0.7630 0.2032 0.8974

---

2 | A plane-wave DFT calculation with PBE+U was carried out for a relaxed Fe10O11F9 crystal.

Cell lengths 4.7611, 4.7663, 15.3356 Å; angles 89.89, 89.93, 86.11 degrees
Fractional positions:
Fe1 0.0000 0.0000 0.0000
Fe2 0.0006 0.0007 0.7928
Fe3 0.0338 0.9693 0.1937
Fe4 0.0393 0.9806 0.5988
Fe5 0.4570 0.4666 0.0913
Fe6 0.4591 0.4721 0.4945
Fe7 0.4602 0.4707 0.7022
Fe8 0.4955 0.5053 0.3031
Fe9 0.5017 0.4942 0.8968
Fe10 0.9985 0.0078 0.4058
O1 0.1839 0.1708 0.0965
O2 0.1873 0.1739 0.7001
O3 0.1878 0.1774 0.5000
O4 0.2855 0.6904 0.3961
O5 0.2972 0.6838 0.9912
O6 0.2990 0.6866 0.8038
O7 0.3135 0.6667 0.6000
O8 0.3138 0.6646 0.1970
O9 0.6874 0.2935 0.3964
O10 0.6872 0.2953 0.9926
O11 0.6887 0.2973 0.8021
F1 0.1868 0.1836 0.8970
F2 0.1900 0.1799 0.2955
F3 0.6965 0.2779 0.6003
F4 0.7001 0.2734 0.1974
F5 0.8019 0.7905 0.5015
F6 0.8030 0.7872 0.0978
F7 0.8052 0.7883 0.6983
F8 0.8063 0.7985 0.2939
F9 0.8070 0.8049 0.8971

---

Here are the energies relative to the best structure, in eV/atom: 1 0.000; 2 0.005.

---

1 | A plane-wave DFT calculation with PBE+U was carried out for a relaxed Fe10O11F9 crystal.

Cell lengths 4.7020, 4.7047, 15.5017 Å; angles 89.73, 89.83, 89.59 degrees
Fractional positions:
Fe1 0.0000 0.0000 0.0000
Fe2 0.0015 0.9595 0.5969
Fe3 0.4842 0.5313 0.9031
Fe4 0.4976 0.5391 0.5002
Fe5 0.5015 0.5354 0.7008
Fe6 0.5044 0.5076 0.3027
Fe7 0.5223 0.4676 0.0873
Fe8 0.9878 0.0102 0.2042
Fe9 0.9897 0.9670 0.3923
Fe10 0.9944 0.9574 0.7993
O1 0.1801 0.8144 0.9026
O2 0.1820 0.8055 0.4956
O3 0.1832 0.8012 0.6991
O4 0.1944 0.7966 0.2936
O5 0.3005 0.2989 0.9966
O6 0.6791 0.6928 0.8019
O7 0.6844 0.6886 0.3982
O8 0.6856 0.6944 0.5998
O9 0.7004 0.6988 0.9993
O10 0.7953 0.1965 0.2980
O11 0.8202 0.1784 0.0996
F1 0.2056 0.7906 0.1029
F2 0.2891 0.3006 0.7980
F3 0.2939 0.2993 0.4007
F4 0.2937 0.3005 0.5991
F5 0.3129 0.3042 0.1962
F6 0.6921 0.6844 0.1948
F7 0.7901 0.1968 0.4999
F8 0.7923 0.1996 0.8958
F9 0.7925 0.1951 0.6992

---

2 | A plane-wave DFT calculation with PBE+U was carried out for a relaxed Fe10O11F9 crystal.

Cell lengths 4.7760, 15.3095, 4.7761 Å; angles 90.00, 95.30, 90.00 degrees
Fractional positions:
Fe1 0.0000 0.0000 0.0000
Fe2 0.0234 0.3947 0.9604
Fe3 0.0234 0.6053 0.9604
Fe4 0.4866 0.3072 0.5069
Fe5 0.4866 0.6928 0.5069
Fe6 0.4999 0.1022 0.5010
Fe7 0.4999 0.8978 0.5010
Fe8 0.5081 0.5000 0.5469
Fe9 0.9947 0.2000 0.0059
Fe10 0.9947 0.8000 0.0059
O1 0.1962 0.2976 0.1949
O2 0.1962 0.7024 0.1949
O3 0.1970 0.1000 0.2000
O4 0.1970 0.9000 0.2000
O5 0.3155 0.4004 0.6945
O6 0.3155 0.5996 0.6945
O7 0.7995 0.0999 0.8042
O8 0.7995 0.9001 0.8042
O9 0.8012 0.2952 0.7983
O10 0.8012 0.7048 0.7983
O11 0.8250 0.5000 0.8174
F1 0.2097 0.5000 0.2048
F2 0.3042 0.1998 0.6914
F3 0.3042 0.8002 0.6914
F4 0.3080 0.0000 0.6916
F5 0.6886 0.2009 0.3095
F6 0.6886 0.7991 0.3095
F7 0.6904 0.0000 0.3111
F8 0.6929 0.4023 0.3139
F9 0.6929 0.5977 0.3139

---

3 | A plane-wave DFT calculation with PBE+U was carried out for a relaxed Fe10O11F9 crystal.

Cell lengths 4.7590, 4.7590, 15.3083 Å; angles 90.13, 90.13, 93.91 degrees
Fractional positions:
Fe1 0.0000 0.0000 0.0000
Fe2 0.0057 0.0514 0.5989
Fe3 0.4952 0.5031 0.9013
Fe4 0.4969 0.5048 0.0987
Fe5 0.5166 0.4619 0.7080
Fe6 0.5243 0.4757 0.5000
Fe7 0.5381 0.4834 0.2920
Fe8 0.9486 0.9943 0.4011
Fe9 0.9858 0.0037 0.7945
Fe10 0.9963 0.0142 0.2055
O1 0.2995 0.2975 0.8077
O2 0.3020 0.3071 0.0001
O3 0.3068 0.3057 0.1943
O4 0.3224 0.3215 0.6014
O5 0.6785 0.6776 0.3986
O6 0.6929 0.6980 0.9999
O7 0.6943 0.6932 0.8057
O8 0.7025 0.7005 0.1923
O9 0.8052 0.1867 0.2989
O10 0.8047 0.1953 0.5000
O11 0.8133 0.1948 0.7011
F1 0.1867 0.8079 0.9016
F2 0.1875 0.8125 0.5000
F3 0.1890 0.8037 0.3007
F4 0.1921 0.8133 0.0984
F5 0.1963 0.8110 0.6993
F6 0.2943 0.2883 0.3978
F7 0.7117 0.7057 0.6022
F8 0.8039 0.1898 0.9026
F9 0.8102 0.1961 0.0974

---

Here are the energies relative to the best structure, in eV/atom: 1 0.000; 2 0.013; 3 0.006.

---

1 | A plane-wave DFT calculation with PBE+U was carried out for a relaxed Fe6O5F7 crystal.

Cell lengths 4.7663, 5.6613, 7.8872 Å; angles 85.10, 87.86, 87.22 degrees
Fractional positions:
Fe1 0.0000 0.0000 0.0000
Fe2 0.0041 0.3244 0.6858
Fe3 0.0123 0.6702 0.3590
Fe4 0.4849 0.5070 0.0356
Fe5 0.5344 0.1606 0.3323
Fe6 0.5385 0.8537 0.6955
O1 0.3071 0.4630 0.2608
O2 0.3180 0.7985 0.9183
O3 0.7100 0.8682 0.4517
O4 0.7147 0.2115 0.1123
O5 0.8195 0.0319 0.7847
F1 0.2041 0.9616 0.2476
F2 0.2046 0.6357 0.5860
F3 0.2191 0.2979 0.9214
F4 0.3279 0.1325 0.5724
F5 0.6984 0.5394 0.7933
F6 0.8070 0.3759 0.4468
F7 0.8193 0.7058 0.1230

---

2 | A plane-wave DFT calculation with PBE+U was carried out for a relaxed Fe6O5F7 crystal.

Cell lengths 4.7816, 5.6972, 7.8307 Å; angles 85.40, 89.41, 88.87 degrees
Fractional positions:
Fe1 0.0000 0.0000 0.0000
Fe2 0.0026 0.6605 0.3304
Fe3 0.4454 0.1392 0.3208
Fe4 0.4574 0.4761 0.0053
Fe5 0.4798 0.8044 0.6400
Fe6 0.9287 0.3392 0.6774
O1 0.1665 0.6941 0.0945
O2 0.2688 0.1978 0.0892
O3 0.2719 0.8449 0.4370
O4 0.7692 0.2805 0.8963
O5 0.7775 0.6149 0.5566
F1 0.1595 0.3545 0.4453
F2 0.1700 0.0237 0.7556
F3 0.2751 0.5212 0.7605
F4 0.6546 0.7806 0.8841
F5 0.6732 0.1133 0.5641
F6 0.6748 0.4566 0.2304
F7 0.7820 0.9452 0.2244

---

Here are the energies relative to the best structure, in eV/atom: 1 0.000; 2 0.007.